(1)
DyCuTe2ClO6: relaxed, PBE-GGA.

Computed properties:
* spin magnetization: 0.09 μB per atom
* energy with MP2020 corrections: -6.17 eV/atom

a b c (Å): 5.4420 14.9855 9.3336
angles (deg): 90.00 99.95 90.00
Positions (direct):
1 Dy 0.2455 0.0871 0.4726
2 Dy 0.2455 0.4129 0.9726
3 Dy 0.7545 0.5871 0.0274
4 Dy 0.7545 0.9129 0.5274
5 Cu 0.2275 0.2227 0.1705
6 Cu 0.2275 0.2773 0.6705
7 Cu 0.7725 0.7227 0.3295
8 Cu 0.7725 0.7773 0.8295
9 Te 0.2443 0.6545 0.7834
10 Te 0.2443 0.8455 0.2834
11 Te 0.2804 0.5863 0.2964
12 Te 0.2804 0.9137 0.7964
13 Te 0.7196 0.0863 0.2036
14 Te 0.7196 0.4137 0.7036
15 Te 0.7557 0.1545 0.7166
16 Te 0.7557 0.3455 0.2166
17 Cl 0.2242 0.1029 0.9435
18 Cl 0.2242 0.3971 0.4435
19 Cl 0.7758 0.6029 0.5565
20 Cl 0.7758 0.8971 0.0565
21 O 0.0015 0.1764 0.5968
22 O 0.0015 0.3236 0.0968
23 O 0.0314 0.6770 0.2294
24 O 0.0314 0.8230 0.7294
25 O 0.1309 0.5174 0.1347
26 O 0.1309 0.9826 0.6347
27 O 0.3746 0.5457 0.8735
28 O 0.3746 0.9543 0.3735
29 O 0.4619 0.1384 0.2921
30 O 0.4619 0.3616 0.7921
31 O 0.4845 0.2140 0.5917
32 O 0.4845 0.2860 0.0917
33 O 0.5155 0.7140 0.9083
34 O 0.5155 0.7860 0.4083
35 O 0.5381 0.6384 0.2079
36 O 0.5381 0.8616 0.7079
37 O 0.6254 0.0457 0.6265
38 O 0.6254 0.4543 0.1265
39 O 0.8691 0.0174 0.3653
40 O 0.8691 0.4826 0.8653
41 O 0.9686 0.1770 0.2706
42 O 0.9686 0.3230 0.7706
43 O 0.9985 0.6764 0.9032
44 O 0.9985 0.8236 0.4032

(2)
BaBe13: relaxed, PBE-GGA.

a b c (Å): 7.4962 7.4962 7.4962
angles (deg): 60.00 60.00 60.00
Positions (direct):
1 Ba 0.2500 0.2500 0.2500
2 Ba 0.7500 0.7500 0.7500
3 Be 0.0000 0.0000 0.0000
4 Be 0.0664 0.2822 0.7178
5 Be 0.0664 0.7178 0.9336
6 Be 0.0664 0.9336 0.2822
7 Be 0.2178 0.4336 0.7822
8 Be 0.2178 0.5664 0.4336
9 Be 0.2178 0.7822 0.5664
10 Be 0.2822 0.0664 0.9336
11 Be 0.2822 0.7178 0.0664
12 Be 0.2822 0.9336 0.7178
13 Be 0.4336 0.2178 0.5664
14 Be 0.4336 0.5664 0.7822
15 Be 0.4336 0.7822 0.2178
16 Be 0.5000 0.5000 0.5000
17 Be 0.5664 0.2178 0.7822
18 Be 0.5664 0.4336 0.2178
19 Be 0.5664 0.7822 0.4336
20 Be 0.7178 0.0664 0.2822
21 Be 0.7178 0.2822 0.9336
22 Be 0.7178 0.9336 0.0664
23 Be 0.7822 0.2178 0.4336
24 Be 0.7822 0.4336 0.5664
25 Be 0.7822 0.5664 0.2178
26 Be 0.9336 0.0664 0.7178
27 Be 0.9336 0.2822 0.0664
28 Be 0.9336 0.7178 0.2822

(3)
BrCl: relaxed, PBE-GGA.

Computed properties:
* spin magnetization: 0.00 μB per atom
* distance to the lowest polymorph of the same formula: 96 meV per atom
* energy with MP2020 corrections: -2.01 eV/atom
* piezoelectric modulus e_max: 0.39 C/m2

a b c (Å): 4.3948 4.3948 9.5369
angles (deg): 90.00 90.00 120.00
Positions (direct):
1 Br 0.3333 0.6667 0.0000
2 Br 0.6667 0.3333 0.5000
3 Cl 0.3333 0.6667 0.2271
4 Cl 0.6667 0.3333 0.7271

(4)
KNdZrTiO6: relaxed, PBE-GGA.

Computed properties:
* spin magnetization: 0.00 μB per atom
* energy with MP2020 corrections: -8.55 eV/atom

a b c (Å): 5.7204 5.7204 5.7204
angles (deg): 60.00 60.00 60.00
Positions (direct):
1 K 0.0000 0.0000 0.0000
2 Nd 0.5000 0.5000 0.5000
3 Zr 0.7500 0.7500 0.7500
4 Ti 0.2500 0.2500 0.2500
5 O 0.0080 0.0080 0.4920
6 O 0.0080 0.4920 0.0080
7 O 0.0080 0.4920 0.4920
8 O 0.4920 0.0080 0.0080
9 O 0.4920 0.0080 0.4920
10 O 0.4920 0.4920 0.0080

(5)
HoBO3: relaxed, PBE-GGA.

Computed properties:
* spin magnetization: 0.00 μB per atom
* energy with MP2020 corrections: -8.69 eV/atom
* piezoelectric modulus e_max: 1.72 C/m2

a b c (Å): 8.6185 3.9281 3.9281
angles (deg): 116.97 90.00 90.00
Positions (direct):
1 Ho 0.0000 0.0000 0.0000
2 Ho 0.5000 0.0000 0.0000
3 B 0.2500 0.7051 0.4476
4 B 0.7500 0.4476 0.7051
5 O 0.1030 0.6203 0.2795
6 O 0.2500 0.9090 0.8393
7 O 0.3970 0.6203 0.2795
8 O 0.6030 0.2795 0.6203
9 O 0.7500 0.8393 0.9090
10 O 0.8970 0.2795 0.6203

(6)
Ba2B10O17: relaxed, PBE-GGA.

Computed properties:
* spin magnetization: 0.00 μB per atom
* energy with MP2020 corrections: -8.33 eV/atom

a b c (Å): 6.8199 10.1297 10.2055
angles (deg): 75.98 83.00 72.62
Positions (direct):
1 Ba 0.2324 0.4773 0.2010
2 Ba 0.2492 0.0195 0.2793
3 Ba 0.7508 0.9805 0.7207
4 Ba 0.7676 0.5227 0.7990
5 B 0.0179 0.7675 0.4750
6 B 0.1442 0.2522 0.9835
7 B 0.2070 0.7072 0.8826
8 B 0.2357 0.5032 0.5299
9 B 0.2425 0.1111 0.6978
10 B 0.2634 0.9957 0.9532
11 B 0.2776 0.8000 0.6282
12 B 0.3038 0.3866 0.7821
13 B 0.3514 0.2452 0.4762
14 B 0.4892 0.7337 0.0148
15 B 0.5108 0.2663 0.9852
16 B 0.6486 0.7548 0.5238
17 B 0.6962 0.6134 0.2179
18 B 0.7224 0.2000 0.3718
19 B 0.7366 0.0043 0.0468
20 B 0.7575 0.8889 0.3022
21 B 0.7643 0.4968 0.4701
22 B 0.7930 0.2928 0.1174
23 B 0.8558 0.7478 0.0165
24 B 0.9821 0.2325 0.5250
25 O 0.0477 0.1365 0.6600
26 O 0.0531 0.6624 0.9638
27 O 0.1237 0.6251 0.4499
28 O 0.1355 0.1032 0.0097
29 O 0.1566 0.3184 0.8374
30 O 0.1616 0.7804 0.7515
31 O 0.1631 0.2301 0.4297
32 O 0.1714 0.8283 0.5142
33 O 0.2539 0.4926 0.6663
34 O 0.3132 0.2581 0.0544
35 O 0.3167 0.0151 0.8162
36 O 0.3360 0.3959 0.4653
37 O 0.3491 0.8699 0.0394
38 O 0.3918 0.1614 0.6151
39 O 0.3989 0.6679 0.9310
40 O 0.4792 0.3646 0.8464
41 O 0.4786 0.8013 0.6244
42 O 0.5214 0.1987 0.3756
43 O 0.5208 0.6354 0.1536
44 O 0.6011 0.3321 0.0690
45 O 0.6082 0.8386 0.3849
46 O 0.6509 0.1301 0.9606
47 O 0.6640 0.6041 0.5347
48 O 0.6833 0.9849 0.1838
49 O 0.6868 0.7419 0.9456
50 O 0.7461 0.5074 0.3337
51 O 0.8286 0.1717 0.4858
52 O 0.8369 0.7699 0.5703
53 O 0.8384 0.2196 0.2485
54 O 0.8434 0.6816 0.1626
55 O 0.8645 0.8968 0.9903
56 O 0.8763 0.3749 0.5501
57 O 0.9469 0.3376 0.0362
58 O 0.9523 0.8635 0.3400

(7)
CuAs2S8N8O4F28: relaxed, PBE-GGA.

Computed properties:
* spin magnetization: 0.02 μB per atom
* energy with MP2020 corrections: -5.07 eV/atom

a b c (Å): 12.9093 12.9093 12.9093
angles (deg): 120.27 120.27 89.53
Positions (direct):
1 Cu 0.3750 0.1250 0.2500
2 Cu 0.6250 0.8750 0.7500
3 As 0.1270 0.8770 0.2500
4 As 0.3770 0.6270 0.7500
5 As 0.6230 0.3730 0.2500
6 As 0.8730 0.1230 0.7500
7 S 0.0034 0.2486 0.3978
8 S 0.1057 0.5034 0.2548
9 S 0.1526 0.9051 0.9147
10 S 0.2514 0.1491 0.7548
11 S 0.2621 0.3474 0.2525
12 S 0.3509 0.6057 0.1022
13 S 0.4051 0.9904 0.7525
14 S 0.4904 0.2379 0.5853
15 S 0.5096 0.7621 0.4147
16 S 0.5949 0.0096 0.2475
17 S 0.6491 0.3943 0.8978
18 S 0.7379 0.6526 0.7475
19 S 0.7486 0.8509 0.2452
20 S 0.8474 0.0949 0.0853
21 S 0.8943 0.4966 0.7452
22 S 0.9966 0.7514 0.6022
23 N 0.1068 0.8625 0.7542
24 N 0.1474 0.3932 0.2557
25 N 0.2624 0.0162 0.0335
26 N 0.2712 0.2376 0.2538
27 N 0.3625 0.1083 0.7557
28 N 0.3917 0.6474 0.2542
29 N 0.4826 0.2288 0.4665
30 N 0.4838 0.0174 0.2462
31 N 0.5162 0.9826 0.7538
32 N 0.5174 0.7712 0.5335
33 N 0.6083 0.3526 0.7458
34 N 0.6375 0.8917 0.2443
35 N 0.7288 0.7624 0.7462
36 N 0.7376 0.9838 0.9665
37 N 0.8526 0.6068 0.7443
38 N 0.8932 0.1375 0.2458
39 O 0.0005 0.4828 0.7410
40 O 0.0172 0.2582 0.5177
41 O 0.2404 0.4995 0.9823
42 O 0.2418 0.2596 0.7590
43 O 0.7582 0.7404 0.2410
44 O 0.7596 0.5005 0.0177
45 O 0.9828 0.7418 0.4823
46 O 0.9995 0.5172 0.2590
47 F 0.9998 0.3759 0.4124
48 F 0.0002 0.6241 0.5876
49 F 0.0103 0.1222 0.8877
50 F 0.0241 0.9004 0.9036
51 F 0.0304 0.7804 0.2500
52 F 0.0873 0.4998 0.1239
53 F 0.1241 0.0366 0.6239
54 F 0.1277 0.0161 0.3885
55 F 0.1276 0.7392 0.1115
56 F 0.1300 0.2529 0.4105
57 F 0.1530 0.7754 0.9012
58 F 0.2195 0.6300 0.3771
59 F 0.2247 0.9747 0.2500
60 F 0.2392 0.6277 0.6116
61 F 0.2471 0.1576 0.8771
62 F 0.2483 0.3470 0.1224
63 F 0.2655 0.8774 0.3877
64 F 0.2754 0.8741 0.6224
65 F 0.2804 0.5304 0.7500
66 F 0.3424 0.7195 0.0895
67 F 0.3741 0.2517 0.5988
68 F 0.3774 0.4897 0.6119
69 F 0.3778 0.7655 0.8881
70 F 0.3795 0.4759 0.3763
71 F 0.4004 0.9968 0.8763
72 F 0.4634 0.5873 0.0876
73 F 0.4747 0.7247 0.7500
74 F 0.4839 0.3724 0.1116
75 F 0.4968 0.1205 0.5964
76 F 0.5032 0.8795 0.4036
77 F 0.5161 0.6276 0.8884
78 F 0.5253 0.2753 0.2500
79 F 0.5366 0.4127 0.9124
80 F 0.5996 0.0032 0.1237
81 F 0.6205 0.5241 0.6237
82 F 0.6222 0.2345 0.1119
83 F 0.6226 0.5103 0.3881
84 F 0.6259 0.7483 0.4012
85 F 0.6576 0.2805 0.9105
86 F 0.7196 0.4696 0.2500
87 F 0.7246 0.1259 0.3776
88 F 0.7345 0.1226 0.6123
89 F 0.7517 0.6530 0.8776
90 F 0.7529 0.8424 0.1229
91 F 0.7608 0.3723 0.3884
92 F 0.7753 0.0253 0.7500
93 F 0.7805 0.3700 0.6229
94 F 0.8470 0.2246 0.0988
95 F 0.8700 0.7471 0.5896
96 F 0.8724 0.2608 0.8885
97 F 0.8723 0.9839 0.6115
98 F 0.8759 0.9634 0.3761
99 F 0.9127 0.5002 0.8761
100 F 0.9696 0.2196 0.7500
101 F 0.9759 0.0996 0.0964
102 F 0.9897 0.8778 0.1123

(8)
ZrSiO: relaxed, PBE-GGA.

Computed properties:
* spin magnetization: 0.00 μB per atom
* energy with MP2020 corrections: -8.30 eV/atom

a b c (Å): 3.3200 3.3200 7.3518
angles (deg): 90.00 90.00 90.00
Positions (direct):
1 Zr 0.2500 0.2500 0.1916
2 Zr 0.7500 0.7500 0.8084
3 Si 0.2500 0.7500 0.5000
4 Si 0.7500 0.2500 0.5000
5 O 0.2500 0.2500 0.8887
6 O 0.7500 0.7500 0.1113

(9)
TmMg2: relaxed, PBE-GGA.

a b c (Å): 5.2029 5.2029 3.2559
angles (deg): 90.00 90.00 120.00
Positions (direct):
1 Tm 0.0000 0.0000 0.0000
2 Mg 0.3333 0.6667 0.5000
3 Mg 0.6667 0.3333 0.5000

(10)
Sr4RhN4: relaxed, PBE-GGA.

Computed properties:
* spin magnetization: 0.10 μB per atom
* energy with MP2020 corrections: -5.82 eV/atom

a b c (Å): 10.8809 4.0512 16.1675
angles (deg): 90.00 90.00 90.00
Positions (direct):
1 Sr 0.0318 0.2500 0.1735
2 Sr 0.0840 0.2500 0.5834
3 Sr 0.1513 0.2500 0.9758
4 Sr 0.2191 0.2500 0.7632
5 Sr 0.2809 0.7500 0.2632
6 Sr 0.3487 0.7500 0.4758
7 Sr 0.4160 0.7500 0.0834
8 Sr 0.4682 0.7500 0.6735
9 Sr 0.5318 0.2500 0.3265
10 Sr 0.5840 0.2500 0.9166
11 Sr 0.6513 0.2500 0.5242
12 Sr 0.7191 0.2500 0.7368
13 Sr 0.7809 0.7500 0.2368
14 Sr 0.8487 0.7500 0.0242
15 Sr 0.9160 0.7500 0.4166
16 Sr 0.9682 0.7500 0.8265
17 Rh 0.1261 0.2500 0.3693
18 Rh 0.3739 0.7500 0.8693
19 Rh 0.6261 0.2500 0.1307
20 Rh 0.8739 0.7500 0.6307
21 N 0.0407 0.7500 0.6757
22 N 0.0618 0.7500 0.0773
23 N 0.1740 0.7500 0.1101
24 N 0.1945 0.7500 0.8673
25 N 0.3055 0.2500 0.3673
26 N 0.3260 0.2500 0.6101
27 N 0.4382 0.2500 0.5773
28 N 0.4593 0.2500 0.1757
29 N 0.5407 0.7500 0.8243
30 N 0.5618 0.7500 0.4227
31 N 0.6740 0.7500 0.3899
32 N 0.6945 0.7500 0.6327
33 N 0.8055 0.2500 0.1327
34 N 0.8260 0.2500 0.8899
35 N 0.9382 0.2500 0.9227
36 N 0.9593 0.2500 0.3243

(11)
K2HfO6: relaxed, PBE-GGA.

Computed properties:
* spin magnetization: 0.67 μB per atom
* distance to the lowest polymorph of the same formula: 154 meV per atom
* energy with MP2020 corrections: -6.06 eV/atom

a b c (Å): 10.5372 10.5372 5.7834
angles (deg): 90.00 90.00 98.73
Positions (direct):
1 K 0.1057 0.8943 0.8329
2 K 0.1115 0.3885 0.5000
3 K 0.3885 0.1115 0.5000
4 K 0.3943 0.6057 0.8329
5 K 0.6057 0.3943 0.1671
6 K 0.6115 0.8885 0.5000
7 K 0.8885 0.6115 0.5000
8 K 0.8943 0.1057 0.1671
9 Hf 0.2500 0.2500 0.0000
10 Hf 0.2500 0.7500 0.3417
11 Hf 0.7500 0.2500 0.6583
12 Hf 0.7500 0.7500 0.0000
13 O 0.1201 0.8799 0.3215
14 O 0.1216 0.3784 0.0000
15 O 0.1260 0.1578 0.7589
16 O 0.1345 0.6345 0.1061
17 O 0.1450 0.6450 0.5839
18 O 0.1578 0.1260 0.2411
19 O 0.3422 0.3740 0.2411
20 O 0.3550 0.8550 0.5839
21 O 0.3655 0.8655 0.1061
22 O 0.3740 0.3422 0.7589
23 O 0.3784 0.1216 0.0000
24 O 0.3799 0.6201 0.3215
25 O 0.6201 0.3799 0.6785
26 O 0.6216 0.8784 0.0000
27 O 0.6260 0.6578 0.2411
28 O 0.6345 0.1345 0.8939
29 O 0.6450 0.1450 0.4161
30 O 0.6578 0.6260 0.7589
31 O 0.8422 0.8740 0.7589
32 O 0.8550 0.3550 0.4161
33 O 0.8655 0.3655 0.8939
34 O 0.8740 0.8422 0.2411
35 O 0.8784 0.6216 0.0000
36 O 0.8799 0.1201 0.6785

What did we get for E? Answer: -5.7987; -3.5710; -1.6993; -8.1396; -8.2798; -7.9242; -4.7609; -8.0713; -2.6085; -5.6569; -5.5982 eV per atom, in the order shown.
What did we get for E_form? Answer: -1.94; 0.04; -0.26; -3.35; -3.47; -2.99; -1.41; -1.99; -0.05; -0.54; -1.40 eV per atom, in the order shown.